1.
Material: YbAg
Method: DFT, r²SCAN
State: optimized geometry

POSCAR file:
```
YbAg
1.0
3.546 0.000 0.000
0.000 3.546 0.000
0.000 0.000 3.546
Yb Ag
1 1
direct
0.500 0.500 0.500
0.000 0.000 0.000
```

Computed properties:
Symmetry: Pm-3m, No. 221
Uncorrected energy: -29.31 eV/atom
M_tot: 0.00 μB per formula unit

***

2.
Material: YbAg3
Method: DFT, r²SCAN
State: optimized geometry

POSCAR file:
```
YbAg3
1.0
-3.573 -3.530 3.497
1.571 -1.851 -5.618
3.913 -2.169 1.809
Yb Ag
2 6
direct
0.333 0.667 0.750
0.667 0.333 0.250
0.159 0.319 0.250
0.681 0.841 0.250
0.159 0.841 0.250
0.841 0.681 0.750
0.319 0.159 0.750
0.841 0.159 0.750
```

Computed properties:
Symmetry: P6_3/mmc, No. 194
Uncorrected energy: -25.37 eV/atom
M_tot: 0.00 μB per formula unit

***

3.
Material: ZnAg3
Method: DFT, r²SCAN
State: optimized geometry

POSCAR file:
```
ZnAg3
1.0
3.821 -1.384 2.859
2.485 4.002 1.580
-4.826 -1.179 0.080
Zn Ag
1 3
direct
0.000 0.000 0.000
0.750 0.250 0.500
0.250 0.750 0.500
0.500 0.500 0.000
```

Computed properties:
Symmetry: I4/mmm, No. 139
Uncorrected energy: -18.25 eV/atom
M_tot: 0.00 μB per formula unit

***

4.
Material: ZnAg3
Method: DFT, r²SCAN
State: optimized geometry

POSCAR file:
```
ZnAg3
1.0
5.689 0.000 0.000
-2.844 4.927 0.000
0.000 0.000 4.700
Zn Ag
2 6
direct
0.333 0.667 0.750
0.667 0.333 0.250
0.168 0.337 0.250
0.663 0.832 0.250
0.168 0.832 0.250
0.832 0.663 0.750
0.337 0.168 0.750
0.832 0.168 0.750
```

Computed properties:
Symmetry: P6_3/mmc, No. 194
Uncorrected energy: -18.26 eV/atom
M_tot: 0.00 μB per formula unit

***

5.
Material: ZnAg3
Method: DFT, r²SCAN
State: optimized geometry

POSCAR file:
```
ZnAg3
1.0
-0.499 -3.964 -0.608
2.463 -0.787 3.106
-3.165 0.013 2.513
Zn Ag
1 3
direct
0.000 0.000 0.000
0.000 0.500 0.500
0.500 0.000 0.500
0.500 0.500 0.000
```

Computed properties:
Symmetry: Pm-3m, No. 221
Uncorrected energy: -18.25 eV/atom
M_tot: 0.00 μB per formula unit

***

6.
Material: Zn3Ag
Method: DFT, r²SCAN
State: optimized geometry

POSCAR file:
```
Zn3Ag
1.0
2.743 -4.751 0.000
2.743 4.751 0.000
0.000 0.000 4.571
Zn Ag
6 2
direct
0.164 0.329 0.250
0.671 0.836 0.250
0.164 0.836 0.250
0.836 0.671 0.750
0.329 0.164 0.750
0.836 0.164 0.750
0.333 0.667 0.750
0.667 0.333 0.250
```

Computed properties:
Symmetry: P6_3/mmc, No. 194
Uncorrected energy: -12.03 eV/atom
M_tot: 0.00 μB per formula unit

***

7.
Material: ZnAg
Method: DFT, r²SCAN
State: optimized geometry

POSCAR file:
```
ZnAg
1.0
1.551 -2.300 0.000
1.551 2.300 0.000
0.000 0.000 4.429
Zn Ag
1 1
direct
0.500 0.500 0.500
0.000 0.000 0.000
```

Computed properties:
Symmetry: Cmmm, No. 65
Uncorrected energy: -15.12 eV/atom
M_tot: 0.00 μB per formula unit

***

8.
Material: ZnAg
Method: DFT, r²SCAN
State: optimized geometry

POSCAR file:
```
ZnAg
1.0
-1.935 -0.522 -2.420
1.153 -2.908 -0.295
-2.191 -1.070 1.982
Zn Ag
1 1
direct
0.500 0.500 0.500
0.000 0.000 0.000
```

Computed properties:
Symmetry: Pm-3m, No. 221
Uncorrected energy: -15.16 eV/atom
M_tot: 0.00 μB per formula unit

***

9.
Material: Zn2Ag
Method: DFT, r²SCAN
State: optimized geometry

POSCAR file:
```
Zn2Ag
1.0
-2.603 2.584 -3.536
4.881 1.142 0.912
2.290 -5.329 -5.580
Zn Ag
8 4
direct
0.000 0.000 0.000
0.000 0.000 0.500
0.828 0.172 0.250
0.172 0.343 0.750
0.657 0.828 0.750
0.343 0.172 0.250
0.828 0.657 0.250
0.172 0.828 0.750
0.667 0.333 0.938
0.333 0.667 0.438
0.333 0.667 0.062
0.667 0.333 0.562
```

Computed properties:
Symmetry: P6_3/mmc, No. 194
Uncorrected energy: -13.09 eV/atom
M_tot: 0.00 μB per formula unit

***

10.
Material: ZnAg
Method: DFT, r²SCAN
State: optimized geometry

POSCAR file:
```
ZnAg
1.0
2.872 0.000 -0.008
-1.436 2.488 0.008
-0.013 0.007 4.418
Zn Ag
1 1
direct
0.333 0.667 0.250
0.667 0.333 0.750
```

Computed properties:
Symmetry: Cm, No. 8
Uncorrected energy: -15.14 eV/atom
M_tot: 0.00 μB per formula unit

***

11.
Material: Zn3Ag
Method: DFT, r²SCAN
State: optimized geometry

POSCAR file:
```
Zn3Ag
1.0
1.424 -2.466 0.000
1.424 2.466 0.000
0.000 0.000 8.558
Zn Ag
3 1
direct
0.667 0.333 0.500
0.333 0.667 0.257
0.333 0.667 0.743
0.667 0.333 0.000
```

Computed properties:
Symmetry: P-6m2, No. 187
Uncorrected energy: -12.04 eV/atom
M_tot: 0.00 μB per formula unit

***

12.
Material: Zn8Ag5
Method: DFT, r²SCAN
State: optimized geometry

POSCAR file:
```
Zn8Ag5
1.0
-1.800 4.972 -6.068
5.215 -5.573 -2.555
-6.713 -3.600 2.601
Zn Ag
16 10
direct
0.715 0.715 0.371
0.344 0.629 0.344
0.629 0.344 0.344
0.000 0.656 0.285
0.656 0.000 0.285
0.285 0.000 0.656
0.715 0.371 0.715
0.371 0.715 0.715
0.000 0.285 0.656
0.285 0.656 0.000
0.219 0.219 0.219
0.781 0.000 0.000
0.000 0.781 0.000
0.000 0.000 0.781
0.344 0.344 0.629
0.656 0.285 0.000
0.000 0.646 0.646
0.646 0.646 0.000
0.354 0.354 0.000
0.354 0.000 0.354
0.646 0.000 0.646
0.000 0.354 0.354
0.000 0.000 0.359
0.000 0.359 0.000
0.359 0.000 0.000
0.641 0.641 0.641
```

Computed properties:
Symmetry: I-43m, No. 217
Uncorrected energy: -13.72 eV/atom
M_tot: 0.00 μB per formula unit

***

13.
Material: ZnAg
Method: DFT, r²SCAN
State: optimized geometry

POSCAR file:
```
ZnAg
1.0
-1.626 -1.587 -1.671
0.092 -5.544 5.174
-10.749 5.118 5.591
Zn Ag
9 9
direct
0.772 0.002 0.332
0.785 0.498 0.831
0.278 0.500 0.168
0.278 0.000 0.665
0.783 0.651 0.014
0.775 0.152 0.513
0.774 0.652 0.320
0.783 0.001 0.001
0.771 0.505 0.500
0.780 0.150 0.819
0.779 0.195 0.168
0.778 0.697 0.667
0.272 0.824 0.481
0.282 0.329 0.986
0.278 0.853 0.167
0.277 0.357 0.661
0.273 0.322 0.353
0.282 0.813 0.854
```

Computed properties:
Symmetry: P1, No. 1
Uncorrected energy: -15.17 eV/atom
M_tot: 0.00 μB per formula unit

***

Number 1: energy relative to the elements -35.56 kJ/mol of atoms, calculated volume 44.60 Å³ per cell. Number 2: energy relative to the elements -21.61 kJ/mol of atoms, calculated volume 156.55 Å³ per cell. Number 3: energy relative to the elements -0.88 kJ/mol of atoms, calculated volume 66.03 Å³ per cell. Number 4: energy relative to the elements -1.52 kJ/mol of atoms, calculated volume 131.72 Å³ per cell. Number 5: energy relative to the elements -0.94 kJ/mol of atoms, calculated volume 66.00 Å³ per cell. Number 6: energy relative to the elements -0.89 kJ/mol of atoms, calculated volume 119.12 Å³ per cell. Number 7: energy relative to the elements 1.21 kJ/mol of atoms, calculated volume 31.59 Å³ per cell. Number 8: energy relative to the elements -2.35 kJ/mol of atoms, calculated volume 31.03 Å³ per cell. Number 9: energy relative to the elements -2.56 kJ/mol of atoms, calculated volume 180.92 Å³ per cell. Number 10: energy relative to the elements -0.98 kJ/mol of atoms, calculated volume 31.56 Å³ per cell. Number 11: energy relative to the elements -1.89 kJ/mol of atoms, calculated volume 60.08 Å³ per cell. Number 12: energy relative to the elements -2.24 kJ/mol of atoms, calculated volume 401.42 Å³ per cell. Number 13: energy relative to the elements -3.43 kJ/mol of atoms, calculated volume 281.37 Å³ per cell.